[1]
First-principles (PBE) data for NaAl2Ga2PS5O24 after structural relaxation, as listed in Materials Project.

```
NaAl2Ga2PS5O24
1.0
8.3713 0.0000 0.0000
4.1785 7.2592 0.0000
0.0410 0.0800 21.8170
Na Al Ga P S O
3 6 6 3 15 72
direct
0.0000 0.0000 0.0000
0.0000 0.0079 0.5049
0.6631 0.6707 0.6671
0.0002 0.0117 0.6466
0.0006 0.9968 0.8535
0.3404 0.3286 0.4857
0.3429 0.3298 0.6865
0.6599 0.6711 0.5257
0.6747 0.6683 0.8164
0.0004 0.0036 0.1510
0.0005 0.0038 0.3549
0.3275 0.3427 0.9780
0.3344 0.3369 0.1889
0.6678 0.6698 0.3169
0.6727 0.6721 0.0191
0.3340 0.0499 0.5856
0.6214 0.3361 0.5855
0.9556 0.6725 0.9172
0.0006 0.7117 0.2522
0.0027 0.2912 0.7523
0.0428 0.3375 0.0855
0.0470 0.6242 0.5854
0.2891 0.7134 0.7516
0.2928 0.0030 0.2522
0.3367 0.6272 0.0851
0.3771 0.9587 0.9172
0.3788 0.6657 0.4198
0.6224 0.0469 0.0850
0.6639 0.9605 0.4199
0.6696 0.3796 0.9173
0.7090 0.2957 0.2521
0.7122 0.0048 0.7516
0.9592 0.3835 0.4202
0.0257 0.1690 0.0922
0.0269 0.8084 0.5934
0.0324 0.1764 0.8076
0.0378 0.7912 0.3070
0.1225 0.3703 0.1411
0.1255 0.5105 0.6409
0.1417 0.3638 0.4281
0.1443 0.5019 0.9257
0.1600 0.2977 0.0308
0.1597 0.5458 0.5296
0.1643 0.0247 0.5942
0.1644 0.3129 0.7434
0.1659 0.5300 0.2444
0.1681 0.8123 0.0920
0.1760 0.0401 0.3071
0.1759 0.7973 0.8070
0.1910 0.9807 0.9093
0.1938 0.8359 0.4128
0.2068 0.8323 0.6971
0.2139 0.9666 0.1968
0.2959 0.1687 0.5278
0.2981 0.5490 0.0306
0.3070 0.5315 0.7434
0.3091 0.1686 0.2444
0.3564 0.5048 0.4283
0.3632 0.1386 0.9252
0.3674 0.1339 0.6430
0.3688 0.5154 0.1411
0.4487 0.8456 0.9740
0.4620 0.7041 0.4729
0.4751 0.6957 0.7606
0.4749 0.8379 0.2597
0.4881 0.6340 0.3630
0.4932 0.8732 0.8631
0.5005 0.6462 0.0775
0.5013 0.3746 0.6428
0.5020 0.1435 0.4271
0.5065 0.3601 0.9251
0.5072 0.8581 0.5764
0.5113 0.1266 0.1409
0.5272 0.3117 0.2445
0.5293 0.1679 0.7441
0.5379 0.3036 0.5276
0.5438 0.1638 0.0299
0.6322 0.8837 0.3631
0.6347 0.4980 0.8632
0.6399 0.8648 0.0789
0.6461 0.5060 0.5764
0.6922 0.4777 0.2595
0.6921 0.8380 0.7597
0.7017 0.8393 0.4734
0.7059 0.4538 0.9741
0.7885 0.1785 0.3071
0.7947 0.0360 0.8068
0.8084 0.0293 0.0916
0.8134 0.1631 0.5944
0.8246 0.2170 0.1967
0.8310 0.9672 0.6972
0.8334 0.4763 0.7599
0.8336 0.9768 0.4130
0.8351 0.6950 0.2596
0.8361 0.1960 0.9093
0.8380 0.4674 0.4735
0.8393 0.7138 0.9762
0.8596 0.5001 0.0788
0.8626 0.6437 0.5770
0.8658 0.6392 0.8618
0.8819 0.4915 0.3631
0.9636 0.8275 0.1966
0.9651 0.2107 0.6979
0.9749 0.1978 0.4131
0.9766 0.8452 0.9088
```


[2]
First-principles (PBE) data for Mg2Al3CrS8 after structural relaxation, as listed in Materials Project.

```
Mg2Al3CrS8
1.0
3.6089 2.0836 5.9260
-3.6089 2.0836 5.9260
0.0000 -4.1671 5.9260
Mg Al Cr S
2 3 1 8
direct
0.1255 0.1255 0.1255
0.8745 0.8745 0.8745
0.0000 0.5000 0.5000
0.5000 0.0000 0.5000
0.5000 0.5000 0.0000
0.5000 0.5000 0.5000
0.2618 0.2618 0.2618
0.2627 0.2627 0.7126
0.2627 0.7126 0.2627
0.2874 0.7373 0.7373
0.7126 0.2627 0.2627
0.7373 0.2874 0.7373
0.7373 0.7373 0.2874
0.7382 0.7382 0.7382
```


[3]
First-principles (PBE) data for Sn3Te after structural relaxation, as listed in Materials Project.

Summary:
As for the polymorph energy (0 for the lowest one): 28 meV per atom.

```
Sn3Te
1.0
4.8656 0.0000 0.0000
0.0000 4.8656 0.0000
0.0000 0.0000 4.8656
Sn Te
3 1
direct
0.0000 0.0000 0.5000
0.0000 0.5000 0.0000
0.5000 0.0000 0.0000
0.5000 0.5000 0.5000
```


Looking at energy relative to the elements for the records above, in order, we have -2.249, -1.396, -0.013 eV/atom.
Looking at total magnetic moment for the records above, in order, we have 0.0, 3.0, 0.0 Bohr magnetons per cell.